PuGa: optimized geometry, PBE.

energy relative to the elements = -0.74 eV/f.u.

Cell lengths 6.222, 6.222, 6.222 Å; angles 118.05, 118.05, 93.40 degrees
Fractional coordinates of all 8 atoms:
Pu: 0.201 0.201 0.000
Pu: 0.250 0.750 0.500
Pu: 0.750 0.250 0.500
Pu: 0.799 0.799 0.000
Ga: 0.290 0.290 0.579
Ga: 0.290 0.710 0.000
Ga: 0.710 0.290 0.000
Ga: 0.710 0.710 0.421